(1)
K3ScSi2O7 | GGA-PBE | relaxed

Lattice parameters (Å, degrees): 5.6808 5.6808 13.8442 90.00 90.00 120.00
Sites, in units of the cell vectors:
K (0.0000, 0.0000, 0.2500)
K (0.0000, 0.0000, 0.7500)
K (0.3333, 0.6667, 0.0928)
K (0.3333, 0.6667, 0.4072)
K (0.6667, 0.3333, 0.5928)
K (0.6667, 0.3333, 0.9072)
Sc (0.0000, 0.0000, 0.0000)
Sc (0.0000, 0.0000, 0.5000)
Si (0.3333, 0.6667, 0.6290)
Si (0.3333, 0.6667, 0.8710)
Si (0.6667, 0.3333, 0.1290)
Si (0.6667, 0.3333, 0.3710)
O (0.1751, 0.3502, 0.5924)
O (0.1751, 0.3502, 0.9076)
O (0.1751, 0.8249, 0.5924)
O (0.1751, 0.8249, 0.9076)
O (0.3333, 0.6667, 0.7500)
O (0.3502, 0.1751, 0.0924)
O (0.3502, 0.1751, 0.4076)
O (0.6498, 0.8249, 0.5924)
O (0.6498, 0.8249, 0.9076)
O (0.6667, 0.3333, 0.2500)
O (0.8249, 0.1751, 0.0924)
O (0.8249, 0.1751, 0.4076)
O (0.8249, 0.6498, 0.0924)
O (0.8249, 0.6498, 0.4076)

Properties
The volume is 386.91 Å³/cell. Its total energy is -0.508 Ry per atom. For the energy relative to the elements, the calculation gives -3.043 eV/atom. Its space-group type is P6_3/mmc (194). Its MP2020-corrected energy is -7.285 eV/atom.

(2)
KSr6ScSi4O16 | GGA-PBE | relaxed

Lattice parameters (Å, degrees): 19.3466 11.3241 7.2163 90.00 90.00 90.00
Sites, in units of the cell vectors:
K (0.1776, 0.2500, 0.1557)
K (0.3224, 0.7500, 0.6557)
K (0.6776, 0.2500, 0.3443)
K (0.8224, 0.7500, 0.8443)
Sr (0.0209, 0.2500, 0.5007)
Sr (0.0910, 0.0017, 0.8299)
Sr (0.0910, 0.4983, 0.8299)
Sr (0.1575, 0.7500, 0.2242)
Sr (0.2245, 0.0267, 0.4864)
Sr (0.2245, 0.4733, 0.4864)
Sr (0.2755, 0.5267, 0.9864)
Sr (0.2755, 0.9733, 0.9864)
Sr (0.3425, 0.2500, 0.7242)
Sr (0.4090, 0.5017, 0.3299)
Sr (0.4090, 0.9983, 0.3299)
Sr (0.4791, 0.7500, 0.0007)
Sr (0.5209, 0.2500, 0.9993)
Sr (0.5910, 0.0017, 0.6701)
Sr (0.5910, 0.4983, 0.6701)
Sr (0.6575, 0.7500, 0.2758)
Sr (0.7245, 0.0267, 0.0136)
Sr (0.7245, 0.4733, 0.0136)
Sr (0.7755, 0.5267, 0.5137)
Sr (0.7755, 0.9733, 0.5137)
Sr (0.8425, 0.2500, 0.7758)
Sr (0.9090, 0.5017, 0.1701)
Sr (0.9090, 0.9983, 0.1701)
Sr (0.9791, 0.7500, 0.4993)
Sc (0.0018, 0.2500, 0.9831)
Sc (0.4982, 0.7500, 0.4831)
Sc (0.5018, 0.2500, 0.5169)
Sc (0.9982, 0.7500, 0.0169)
Si (0.0763, 0.0030, 0.2705)
Si (0.0763, 0.4970, 0.2705)
Si (0.1532, 0.7500, 0.7242)
Si (0.1735, 0.2500, 0.7324)
Si (0.3265, 0.7500, 0.2324)
Si (0.3468, 0.2500, 0.2242)
Si (0.4237, 0.5030, 0.7705)
Si (0.4237, 0.9970, 0.7705)
Si (0.5763, 0.0030, 0.2295)
Si (0.5763, 0.4970, 0.2295)
Si (0.6532, 0.7500, 0.7758)
Si (0.6735, 0.2500, 0.7676)
Si (0.8265, 0.7500, 0.2676)
Si (0.8468, 0.2500, 0.2758)
Si (0.9237, 0.5030, 0.7295)
Si (0.9237, 0.9970, 0.7295)
O (0.0310, 0.6176, 0.2148)
O (0.0310, 0.8824, 0.2148)
O (0.0350, 0.1149, 0.1644)
O (0.0350, 0.3851, 0.1644)
O (0.0835, 0.0341, 0.4897)
O (0.0835, 0.4659, 0.4897)
O (0.0925, 0.2500, 0.8146)
O (0.0962, 0.7500, 0.9025)
O (0.1097, 0.7500, 0.5310)
O (0.1530, 0.5171, 0.1749)
O (0.1530, 0.9829, 0.1749)
O (0.1780, 0.2500, 0.5080)
O (0.1979, 0.6274, 0.7473)
O (0.1979, 0.8726, 0.7473)
O (0.2119, 0.1306, 0.8111)
O (0.2119, 0.3694, 0.8111)
O (0.2881, 0.6306, 0.3110)
O (0.2881, 0.8694, 0.3110)
O (0.3021, 0.1274, 0.2473)
O (0.3021, 0.3726, 0.2473)
O (0.3220, 0.7500, 0.0080)
O (0.3470, 0.0171, 0.6749)
O (0.3470, 0.4829, 0.6749)
O (0.3903, 0.2500, 0.0310)
O (0.4038, 0.2500, 0.4025)
O (0.4075, 0.7500, 0.3146)
O (0.4165, 0.5341, 0.9897)
O (0.4165, 0.9659, 0.9897)
O (0.4650, 0.6149, 0.6644)
O (0.4650, 0.8851, 0.6644)
O (0.4690, 0.1176, 0.7148)
O (0.4690, 0.3824, 0.7148)
O (0.5310, 0.6176, 0.2852)
O (0.5310, 0.8824, 0.2852)
O (0.5350, 0.1149, 0.3356)
O (0.5350, 0.3851, 0.3356)
O (0.5835, 0.0341, 0.0103)
O (0.5835, 0.4659, 0.0103)
O (0.5925, 0.2500, 0.6854)
O (0.5962, 0.7500, 0.5975)
O (0.6097, 0.7500, 0.9690)
O (0.6530, 0.5171, 0.3251)
O (0.6530, 0.9829, 0.3251)
O (0.6780, 0.2500, 0.9920)
O (0.6979, 0.6274, 0.7527)
O (0.6979, 0.8726, 0.7527)
O (0.7119, 0.1306, 0.6889)
O (0.7119, 0.3694, 0.6889)
O (0.7881, 0.6306, 0.1890)
O (0.7881, 0.8694, 0.1890)
O (0.8021, 0.1274, 0.2527)
O (0.8021, 0.3726, 0.2527)
O (0.8220, 0.7500, 0.4920)
O (0.8470, 0.0171, 0.8251)
O (0.8470, 0.4829, 0.8251)
O (0.8903, 0.2500, 0.4690)
O (0.9038, 0.2500, 0.0975)
O (0.9075, 0.7500, 0.1854)
O (0.9165, 0.5341, 0.5103)
O (0.9165, 0.9659, 0.5103)
O (0.9650, 0.6149, 0.8356)
O (0.9650, 0.8851, 0.8356)
O (0.9690, 0.1176, 0.7852)
O (0.9690, 0.3824, 0.7852)

Properties
The volume is 1580.97 Å³/cell. Its total energy is -0.532 Ry per atom. For the energy relative to the elements, the calculation gives -3.402 eV/atom. Its space-group type is Pnma (62). Its MP2020-corrected energy is -7.632 eV/atom.

(3)
KSe2O6 | GGA-PBE | relaxed

Lattice parameters (Å, degrees): 15.5908 6.6293 6.0779 90.00 90.00 90.00
Sites, in units of the cell vectors:
K (0.0000, 0.2441, 0.2500)
K (0.0000, 0.7559, 0.7500)
K (0.5000, 0.2559, 0.7500)
K (0.5000, 0.7441, 0.2500)
Se (0.1591, 0.2690, 0.7405)
Se (0.1591, 0.7310, 0.2405)
Se (0.3409, 0.2310, 0.2405)
Se (0.3409, 0.7690, 0.7405)
Se (0.6591, 0.2310, 0.2595)
Se (0.6591, 0.7690, 0.7595)
Se (0.8409, 0.2690, 0.7595)
Se (0.8409, 0.7310, 0.2595)
O (0.0984, 0.1051, 0.6053)
O (0.0984, 0.8949, 0.1053)
O (0.0993, 0.4227, 0.8944)
O (0.0993, 0.5773, 0.3944)
O (0.2445, 0.1734, 0.8669)
O (0.2445, 0.8266, 0.3669)
O (0.2555, 0.3266, 0.3669)
O (0.2555, 0.6734, 0.8669)
O (0.4007, 0.0773, 0.3944)
O (0.4007, 0.9227, 0.8944)
O (0.4016, 0.3949, 0.1053)
O (0.4016, 0.6051, 0.6053)
O (0.5984, 0.3949, 0.3947)
O (0.5984, 0.6051, 0.8947)
O (0.5993, 0.0773, 0.1056)
O (0.5993, 0.9227, 0.6056)
O (0.7445, 0.3266, 0.1331)
O (0.7445, 0.6734, 0.6331)
O (0.7555, 0.1734, 0.6331)
O (0.7555, 0.8266, 0.1331)
O (0.9007, 0.4227, 0.6056)
O (0.9007, 0.5773, 0.1056)
O (0.9016, 0.1051, 0.8947)
O (0.9016, 0.8949, 0.3947)

Properties
The volume is 628.19 Å³/cell. Its total energy is -0.359 Ry per atom. Its energy above the most stable polymorph in this dataset is 0.73 eV per formula unit. For the energy relative to the elements, the calculation gives -1.140 eV/atom. Its space-group type is Pbcn (60). Its MP2020-corrected energy is -5.339 eV/atom.

(4)
K6Se2O9 | GGA-PBE | relaxed

Lattice parameters (Å, degrees): 8.2752 8.2752 17.7710 90.00 90.00 90.00
Sites, in units of the cell vectors:
K (0.0001, 0.0437, 0.3541)
K (0.9999, 0.9563, 0.8541)
K (0.0020, 0.5244, 0.8772)
K (0.0244, 0.4980, 0.6272)
K (0.0437, 0.0001, 0.6459)
K (0.2094, 0.7757, 0.4964)
K (0.2243, 0.7906, 0.0036)
K (0.2757, 0.2906, 0.2464)
K (0.2906, 0.2757, 0.7536)
K (0.4563, 0.5001, 0.6041)
K (0.4756, 0.9980, 0.6228)
K (0.4980, 0.0244, 0.3728)
K (0.5001, 0.4563, 0.3959)
K (0.4999, 0.5437, 0.8959)
K (0.5020, 0.9756, 0.8728)
K (0.5244, 0.0020, 0.1228)
K (0.5437, 0.4999, 0.1041)
K (0.7094, 0.7243, 0.2536)
K (0.7243, 0.7094, 0.7464)
K (0.7757, 0.2094, 0.5036)
K (0.7906, 0.2243, 0.9964)
K (0.9563, 0.9999, 0.1459)
K (0.9756, 0.5020, 0.1272)
K (0.9980, 0.4756, 0.3772)
Se (0.2340, 0.7660, 0.2500)
Se (0.2457, 0.2457, 0.5000)
Se (0.2543, 0.7457, 0.7500)
Se (0.2660, 0.2660, 0.0000)
Se (0.7340, 0.7340, 0.5000)
Se (0.7457, 0.2543, 0.2500)
Se (0.7543, 0.7543, 0.0000)
Se (0.7660, 0.2340, 0.7500)
O (0.0358, 0.7352, 0.2641)
O (0.0468, 0.6990, 0.7484)
O (0.0951, 0.0951, 0.5000)
O (0.1624, 0.2091, 0.9234)
O (0.1990, 0.4532, 0.4984)
O (0.2091, 0.1624, 0.0766)
O (0.2352, 0.4642, 0.0141)
O (0.2421, 0.2475, 0.6034)
O (0.2475, 0.2421, 0.3966)
O (0.2525, 0.7421, 0.8534)
O (0.2579, 0.7475, 0.6466)
O (0.2648, 0.9642, 0.2359)
O (0.2909, 0.6624, 0.1734)
O (0.3010, 0.9532, 0.7516)
O (0.3376, 0.7091, 0.3266)
O (0.4049, 0.5951, 0.7500)
O (0.4532, 0.1990, 0.5016)
O (0.4642, 0.2352, 0.9859)
O (0.5358, 0.7648, 0.4859)
O (0.5468, 0.8010, 0.0016)
O (0.5951, 0.4049, 0.2500)
O (0.6624, 0.2909, 0.8266)
O (0.6990, 0.0468, 0.2516)
O (0.7091, 0.3376, 0.6734)
O (0.7352, 0.0358, 0.7359)
O (0.7421, 0.2525, 0.1466)
O (0.7475, 0.2579, 0.3534)
O (0.7525, 0.7579, 0.8966)
O (0.7579, 0.7525, 0.1034)
O (0.7648, 0.5358, 0.5141)
O (0.7909, 0.8376, 0.5766)
O (0.8010, 0.5468, 0.9984)
O (0.8376, 0.7909, 0.4234)
O (0.9049, 0.9049, 0.0000)
O (0.9532, 0.3010, 0.2484)
O (0.9642, 0.2648, 0.7641)

Properties
The volume is 1216.94 Å³/cell. Its total energy is -0.352 Ry per atom. For the energy relative to the elements, the calculation gives -1.730 eV/atom. Its space-group type is P4_12_12 (92). Its MP2020-corrected energy is -5.153 eV/atom.

(5)
KSe2O6 | GGA-PBE | relaxed

Lattice parameters (Å, degrees): 6.1478 16.8030 6.3000 90.00 101.33 90.00
Sites, in units of the cell vectors:
K (0.2418, 0.0028, 0.2743)
K (0.2418, 0.4972, 0.7743)
K (0.7582, 0.5028, 0.2257)
K (0.7582, 0.9972, 0.7257)
Se (0.2352, 0.6730, 0.2999)
Se (0.2352, 0.8270, 0.7999)
Se (0.2865, 0.1432, 0.8027)
Se (0.2865, 0.3568, 0.3027)
Se (0.7135, 0.6432, 0.6973)
Se (0.7135, 0.8568, 0.1973)
Se (0.7648, 0.1730, 0.2001)
Se (0.7648, 0.3270, 0.7001)
O (0.0989, 0.0897, 0.8970)
O (0.0989, 0.4103, 0.3970)
O (0.1309, 0.5963, 0.1464)
O (0.1309, 0.9037, 0.6464)
O (0.2147, 0.2364, 0.7590)
O (0.2147, 0.2636, 0.2590)
O (0.3277, 0.7440, 0.1552)
O (0.3277, 0.7560, 0.6552)
O (0.3923, 0.0980, 0.6139)
O (0.3923, 0.4020, 0.1139)
O (0.4875, 0.6223, 0.4515)
O (0.4875, 0.8777, 0.9515)
O (0.5125, 0.1223, 0.0485)
O (0.5125, 0.3777, 0.5485)
O (0.6077, 0.5980, 0.8861)
O (0.6077, 0.9020, 0.3861)
O (0.6723, 0.2440, 0.3448)
O (0.6723, 0.2560, 0.8448)
O (0.7853, 0.7364, 0.7410)
O (0.7853, 0.7636, 0.2410)
O (0.8691, 0.0963, 0.3536)
O (0.8691, 0.4037, 0.8536)
O (0.9011, 0.5897, 0.6030)
O (0.9011, 0.9103, 0.1030)

Properties
The volume is 638.11 Å³/cell. Its total energy is -0.365 Ry per atom. Its energy above the most stable polymorph in this dataset is 0.00 eV per formula unit. For the energy relative to the elements, the calculation gives -1.221 eV/atom. Its space-group type is P2_1/c (14). Its MP2020-corrected energy is -5.420 eV/atom.

(6)
KSeO4 | GGA-PBE | relaxed

Lattice parameters (Å, degrees): 8.6273 10.3760 20.0553 90.00 90.00 90.00
Sites, in units of the cell vectors:
K (0.1148, 0.1766, 0.1260)
K (0.1148, 0.3234, 0.6260)
K (0.1320, 0.1832, 0.8810)
K (0.1320, 0.3168, 0.3810)
K (0.3680, 0.6832, 0.8810)
K (0.3680, 0.8168, 0.3810)
K (0.3852, 0.6766, 0.1260)
K (0.3852, 0.8234, 0.6260)
K (0.6148, 0.1766, 0.3740)
K (0.6148, 0.3234, 0.8740)
K (0.6320, 0.1832, 0.6190)
K (0.6320, 0.3168, 0.1190)
K (0.8680, 0.6832, 0.6190)
K (0.8680, 0.8168, 0.1190)
K (0.8852, 0.6766, 0.3740)
K (0.8852, 0.8234, 0.8740)
Se (0.0213, 0.0197, 0.2941)
Se (0.0213, 0.4803, 0.7941)
Se (0.2466, 0.0717, 0.5038)
Se (0.2466, 0.4283, 0.0038)
Se (0.2534, 0.5717, 0.5038)
Se (0.2534, 0.9283, 0.0038)
Se (0.4787, 0.5197, 0.2941)
Se (0.4787, 0.9803, 0.7941)
Se (0.5213, 0.0197, 0.2059)
Se (0.5213, 0.4803, 0.7059)
Se (0.7466, 0.0717, 0.9962)
Se (0.7466, 0.4283, 0.4962)
Se (0.7534, 0.5717, 0.9962)
Se (0.7534, 0.9283, 0.4962)
Se (0.9787, 0.5197, 0.2059)
Se (0.9787, 0.9803, 0.7059)
O (0.0768, 0.0004, 0.7788)
O (0.0768, 0.4996, 0.2788)
O (0.0775, 0.6233, 0.8209)
O (0.0775, 0.8767, 0.3209)
O (0.0813, 0.6042, 0.1515)
O (0.0813, 0.8958, 0.6515)
O (0.0872, 0.1635, 0.5079)
O (0.0872, 0.3365, 0.0079)
O (0.1498, 0.5966, 0.5729)
O (0.1498, 0.9034, 0.0729)
O (0.1631, 0.6062, 0.4322)
O (0.1631, 0.8938, 0.9322)
O (0.1786, 0.1153, 0.2764)
O (0.1786, 0.3847, 0.7764)
O (0.2081, 0.5877, 0.0002)
O (0.2081, 0.9123, 0.5002)
O (0.2919, 0.0877, 0.0002)
O (0.2919, 0.4123, 0.5002)
O (0.3214, 0.6153, 0.2764)
O (0.3214, 0.8847, 0.7764)
O (0.3369, 0.1062, 0.4322)
O (0.3369, 0.3938, 0.9322)
O (0.3502, 0.0966, 0.5729)
O (0.3502, 0.4034, 0.0729)
O (0.4128, 0.6635, 0.5079)
O (0.4128, 0.8365, 0.0079)
O (0.4187, 0.1042, 0.1515)
O (0.4187, 0.3958, 0.6515)
O (0.4225, 0.1233, 0.8209)
O (0.4225, 0.3767, 0.3209)
O (0.4232, 0.9996, 0.2788)
O (0.4232, 0.5004, 0.7788)
O (0.5768, 0.0004, 0.7212)
O (0.5768, 0.4996, 0.2212)
O (0.5775, 0.6233, 0.6791)
O (0.5775, 0.8767, 0.1791)
O (0.5813, 0.6042, 0.3485)
O (0.5813, 0.8958, 0.8485)
O (0.5872, 0.1635, 0.9921)
O (0.5872, 0.3365, 0.4921)
O (0.6498, 0.5966, 0.9271)
O (0.6498, 0.9034, 0.4271)
O (0.6631, 0.6062, 0.0678)
O (0.6631, 0.8938, 0.5678)
O (0.6786, 0.1153, 0.2236)
O (0.6786, 0.3847, 0.7236)
O (0.7081, 0.5877, 0.4998)
O (0.7081, 0.9123, 0.9998)
O (0.7919, 0.0877, 0.4998)
O (0.7919, 0.4123, 0.9998)
O (0.8214, 0.6153, 0.2236)
O (0.8214, 0.8847, 0.7236)
O (0.8369, 0.1062, 0.0678)
O (0.8369, 0.3938, 0.5678)
O (0.8502, 0.0966, 0.9271)
O (0.8502, 0.4034, 0.4271)
O (0.9128, 0.6635, 0.9921)
O (0.9128, 0.8365, 0.4921)
O (0.9187, 0.1042, 0.3485)
O (0.9187, 0.3958, 0.8485)
O (0.9225, 0.1233, 0.6791)
O (0.9225, 0.3767, 0.1791)
O (0.9232, 0.9996, 0.2212)
O (0.9232, 0.5004, 0.7212)

Properties
The volume is 1795.29 Å³/cell. Its total energy is -0.359 Ry per atom. For the energy relative to the elements, the calculation gives -1.281 eV/atom. Its space-group type is Pbca (61). Its MP2020-corrected energy is -5.347 eV/atom.

(7)
KSe2O | GGA-PBE | relaxed

Lattice parameters (Å, degrees): 7.9815 7.3692 8.9089 90.00 122.11 90.00
Sites, in units of the cell vectors:
K (0.0000, 0.0782, 0.0000)
K (0.0000, 0.9218, 0.5000)
K (0.4914, 0.3848, 0.4905)
K (0.4914, 0.6152, 0.9905)
Se (0.0136, 0.4032, 0.6661)
Se (0.0136, 0.5968, 0.1661)
Se (0.4593, 0.1577, 0.8022)
Se (0.4593, 0.8423, 0.3022)
Se (0.5233, 0.0948, 0.1813)
Se (0.5233, 0.9052, 0.6813)
Se (0.8848, 0.3564, 0.2435)
Se (0.8848, 0.6436, 0.7435)
O (0.3592, 0.2625, 0.1578)
O (0.3592, 0.7375, 0.6578)
O (0.8832, 0.2114, 0.6574)
O (0.8832, 0.7886, 0.1574)

Properties
The volume is 443.83 Å³/cell. Its total energy is -0.295 Ry per atom. For the energy relative to the elements, the calculation gives -0.918 eV/atom. Its space-group type is Pc (7). Its MP2020-corrected energy is -4.180 eV/atom.

(8)
K2Se2O | GGA-PBE | relaxed

Lattice parameters (Å, degrees): 6.5173 6.5173 6.6821 93.45 93.45 63.53
Sites, in units of the cell vectors:
K (0.0794, 0.6916, 0.5919)
K (0.3084, 0.9206, 0.9081)
K (0.6916, 0.0794, 0.0919)
K (0.9206, 0.3084, 0.4081)
Se (0.1439, 0.5647, 0.1029)
Se (0.4353, 0.8561, 0.3971)
Se (0.5647, 0.1439, 0.6029)
Se (0.8561, 0.4353, 0.8971)
O (0.1448, 0.8552, 0.2500)
O (0.8552, 0.1448, 0.7500)

Properties
The volume is 253.44 Å³/cell. Its total energy is -0.267 Ry per atom. For the energy relative to the elements, the calculation gives -0.937 eV/atom. Its space-group type is C2/c (15). Its MP2020-corrected energy is -3.770 eV/atom.